CrC7N2O5 after structural relaxation, computed with GGA+U.

Output
VASP energy	-7.249	eV per atom
formation energy	0.100	eV/atom
MP2020-corrected energy	-7.611	eV per atom
total magnetization	3.992	μB/f.u.

a = 13.7294 Å, b = 6.4929 Å, c = 12.0702 Å
α = 90.00°, β = 96.84°, γ = 90.00°
Closest atoms and distances in Å follow each position.
Positions (direct):
Cr: 0.2123 0.0519 0.4003  6 C 1.89-1.93
Cr: 0.2123 0.4481 0.9003  6 C 1.89-1.93
Cr: 0.7877 0.5519 0.0997  6 C 1.89-1.93
Cr: 0.7877 0.9481 0.5997  6 C 1.89-1.93
C: 0.1101 0.5565 0.7946  1 O 1.16
C: 0.1101 0.9435 0.2946  1 O 1.16
C: 0.1135 0.1695 0.4814  1 O 1.16
C: 0.1135 0.3305 0.9814  1 O 1.16
C: 0.2109 0.6990 0.9857  1 O 1.16
C: 0.2109 0.8010 0.4857  1 O 1.16
C: 0.2167 0.1992 0.8148  1 O 1.16
C: 0.2167 0.3008 0.3148  1 O 1.16
C: 0.3063 0.1659 0.5162  1 O 1.15
C: 0.3063 0.3341 0.0162  1 O 1.15
C: 0.3092 0.5564 0.8181  1 N 1.26
C: 0.3092 0.9436 0.3181  1 N 1.26
C: 0.4399 0.6819 0.7073  1 N 1.24
C: 0.4399 0.8181 0.2073  1 N 1.24
C: 0.5601 0.1819 0.7927  1 N 1.24
C: 0.5601 0.3181 0.2927  1 N 1.24
C: 0.6908 0.0564 0.6819  1 N 1.26
C: 0.6908 0.4436 0.1819  1 N 1.26
C: 0.6937 0.6659 0.9838  1 O 1.15
C: 0.6937 0.8341 0.4838  1 O 1.15
C: 0.7833 0.6992 0.6852  1 O 1.16
C: 0.7833 0.8008 0.1852  1 O 1.16
C: 0.7891 0.1990 0.5143  1 O 1.16
C: 0.7891 0.3010 0.0143  1 O 1.16
C: 0.8865 0.6695 0.0186  1 O 1.16
C: 0.8865 0.8305 0.5186  1 O 1.16
C: 0.8899 0.0565 0.7054  1 O 1.16
C: 0.8899 0.4435 0.2054  1 O 1.16
N: 0.3747 0.6186 0.7616  2 C 1.24-1.26
N: 0.3747 0.8814 0.2616  2 C 1.24-1.26
N: 0.4615 0.7288 0.9826  1 O 2.74, 2 C 2.82-2.93, 1 N 2.88
N: 0.4615 0.7712 0.4826  1 O 2.74, 2 C 2.82-2.93, 1 N 2.88
N: 0.5385 0.2288 0.5174  1 O 2.74, 2 C 2.82-2.93, 1 N 2.88
N: 0.5385 0.2712 0.0174  1 O 2.74, 2 C 2.82-2.93, 1 N 2.88
N: 0.6253 0.1186 0.7384  2 C 1.24-1.26
N: 0.6253 0.3814 0.2384  2 C 1.24-1.26
O: 0.0472 0.6200 0.7311  1 C 1.16
O: 0.0472 0.8800 0.2311  1 C 1.16
O: 0.0555 0.2411 0.5321  1 C 1.16
O: 0.0555 0.2589 0.0321  1 C 1.16
O: 0.2116 0.6519 0.5383  1 C 1.16
O: 0.2116 0.8481 0.0383  1 C 1.16
O: 0.2189 0.0495 0.7631  1 C 1.16
O: 0.2189 0.4505 0.2631  1 C 1.16
O: 0.3570 0.2354 0.5899  1 C 1.15
O: 0.3570 0.2646 0.0899  1 C 1.15
O: 0.6430 0.7354 0.9101  1 C 1.15
O: 0.6430 0.7646 0.4101  1 C 1.15
O: 0.7811 0.5495 0.7369  1 C 1.16
O: 0.7811 0.9505 0.2369  1 C 1.16
O: 0.7884 0.1519 0.9617  1 C 1.16
O: 0.7884 0.3481 0.4617  1 C 1.16
O: 0.9445 0.7411 0.9679  1 C 1.16
O: 0.9445 0.7589 0.4679  1 C 1.16
O: 0.9528 0.1200 0.7689  1 C 1.16
O: 0.9528 0.3800 0.2689  1 C 1.16

***

Na3CrC6O17 after structural relaxation, computed with GGA+U.

Output
VASP energy	-6.516	eV per atom
formation energy	-0.919	eV/atom
MP2020-corrected energy	-6.590	eV per atom
total magnetization	7.000	μB/f.u.

a = 10.7377 Å, b = 10.7377 Å, c = 14.1838 Å
α = 99.73°, β = 99.73°, γ = 75.08°
Closest atoms and distances in Å follow each position.
Positions (direct):
Na: 0.0024 0.9976 0.5000  6 O 2.44-2.57
Na: 0.0599 0.2341 0.7788  2 O 2.41-2.47
Na: 0.2341 0.0599 0.2788  2 O 2.41-2.47
Na: 0.2715 0.7287 0.0007  6 O 2.35-2.52
Na: 0.3269 0.5942 0.7461  3 O 2.28-2.36
Na: 0.4162 0.6858 0.2505  4 O 2.28-2.53
Na: 0.5942 0.3269 0.2461  3 O 2.28-2.36
Na: 0.6858 0.4162 0.7505  4 O 2.28-2.53
Na: 0.7287 0.2715 0.5007  6 O 2.35-2.52
Na: 0.7623 0.9688 0.2233  3 O 2.35-2.53
Na: 0.9688 0.7623 0.7233  3 O 2.35-2.53
Na: 0.9976 0.0024 0.0000  6 O 2.44-2.57
Cr: 0.1746 0.4420 0.5076  6 O 2.00-2.03
Cr: 0.4420 0.1746 0.0076  6 O 2.00-2.03
Cr: 0.5571 0.8255 0.4908  6 O 2.00-2.03
Cr: 0.8255 0.5571 0.9908  6 O 2.00-2.03
C: 0.0126 0.7018 0.0425  2 O 1.24-1.29
C: 0.0396 0.7055 0.5334  2 O 1.24-1.30
C: 0.0483 0.2737 0.5614  2 O 1.25-1.29
C: 0.1105 0.6873 0.4421  2 O 1.24-1.29
C: 0.2737 0.0483 0.0614  2 O 1.25-1.29
C: 0.2943 0.9599 0.4654  2 O 1.24-1.30
C: 0.2947 0.4221 0.9707  2 O 1.25-1.28
C: 0.2974 0.9866 0.9554  2 O 1.25-1.29
C: 0.3137 0.8894 0.5572  2 O 1.24-1.29
C: 0.3887 0.4453 0.0657  2 O 1.24-1.30
C: 0.4221 0.2947 0.4707  2 O 1.25-1.28
C: 0.4453 0.3887 0.5657  2 O 1.24-1.30
C: 0.5545 0.6071 0.9357  2 O 1.24-1.29
C: 0.5785 0.7047 0.0286  2 O 1.25-1.28
C: 0.6071 0.5545 0.4357  2 O 1.24-1.29
C: 0.6873 0.1105 0.9421  2 O 1.24-1.29
C: 0.7018 0.0126 0.5425  2 O 1.24-1.29
C: 0.7055 0.0396 0.0334  2 O 1.24-1.30
C: 0.7047 0.5785 0.5286  2 O 1.25-1.28
C: 0.7264 0.9504 0.4366  2 O 1.24-1.29
C: 0.8894 0.3137 0.0572  2 O 1.24-1.29
C: 0.9504 0.7264 0.9366  2 O 1.24-1.29
C: 0.9599 0.2943 0.9654  2 O 1.24-1.30
C: 0.9866 0.2974 0.4554  2 O 1.25-1.29
O: 0.0034 0.2085 0.6063  1 C 1.25
O: 0.0258 0.3834 0.4227  1 C 1.29
O: 0.0307 0.1881 0.9372  1 C 1.24
O: 0.0640 0.6021 0.5758  1 C 1.30
O: 0.0923 0.7653 0.0848  1 C 1.24
O: 0.0949 0.7821 0.3983  1 C 1.24
O: 0.1269 0.5039 0.7747  1 O 2.33
O: 0.1362 0.3104 0.2476  1 O 1.29
O: 0.1440 0.3271 0.5945  1 C 1.29
O: 0.1639 0.4097 0.2235  2 O 1.29
O: 0.1827 0.5722 0.4237  1 C 1.29
O: 0.1881 0.0307 0.4372  1 C 1.24
O: 0.1942 0.8021 0.7380  2 Na 2.33-2.53, 2 O 2.47-2.56
O: 0.1997 0.8108 0.2603  1 Na 2.38, 2 O 2.51-2.58
O: 0.2085 0.0034 0.1063  1 C 1.25
O: 0.2185 0.9040 0.6006  1 C 1.24
O: 0.2251 0.5196 0.9348  1 C 1.25
O: 0.2340 0.9069 0.9127  1 C 1.25
O: 0.2748 0.4346 0.2586  1 O 1.29
O: 0.2978 0.3026 0.9387  1 C 1.28
O: 0.3026 0.2978 0.4387  1 C 1.28
O: 0.3104 0.1362 0.7476  1 O 1.29
O: 0.3271 0.1440 0.0945  1 C 1.29
O: 0.3400 0.4651 0.5942  1 C 1.30
O: 0.3834 0.0258 0.9227  1 C 1.29
O: 0.3857 0.5567 0.1074  1 C 1.24
O: 0.3969 0.9345 0.4221  1 C 1.30
O: 0.4097 0.1639 0.7235  2 O 1.29
O: 0.4291 0.8190 0.5768  1 C 1.29
O: 0.4346 0.2748 0.7586  1 O 1.29
O: 0.4423 0.6081 0.8961  1 C 1.24
O: 0.4651 0.3400 0.0942  1 C 1.30
O: 0.4812 0.7749 0.0645  1 C 1.25
O: 0.5039 0.1269 0.2747  1 O 2.33
O: 0.5038 0.8724 0.2235  1 O 2.32, 1 Na 2.53
O: 0.5196 0.2251 0.4348  1 C 1.25
O: 0.5314 0.6594 0.4065  1 C 1.29
O: 0.5567 0.3857 0.6074  1 C 1.24
O: 0.5655 0.6813 0.7395  1 O 1.30
O: 0.5722 0.1827 0.9237  1 C 1.29
O: 0.5894 0.7955 0.7683  2 O 1.28-1.30
O: 0.6021 0.0640 0.0758  1 C 1.30
O: 0.6081 0.4423 0.3961  1 C 1.24
O: 0.6154 0.9741 0.5750  1 C 1.29
O: 0.6594 0.5314 0.9065  1 C 1.29
O: 0.6708 0.8562 0.4032  1 C 1.29
O: 0.6813 0.5655 0.2395  1 O 1.30
O: 0.6980 0.7033 0.0586  1 C 1.28
O: 0.7033 0.6980 0.5586  1 C 1.28
O: 0.7026 0.8086 0.7618  1 O 1.28
O: 0.7653 0.0923 0.5848  1 C 1.24
O: 0.7749 0.4812 0.5645  1 C 1.25
O: 0.7821 0.0949 0.8983  1 C 1.24
O: 0.7938 0.9937 0.3927  1 C 1.24
O: 0.7955 0.5894 0.2683  2 O 1.28-1.30
O: 0.8021 0.1942 0.2380  2 Na 2.33-2.53, 2 O 2.47-2.56
O: 0.8086 0.7026 0.2618  1 O 1.28
O: 0.8108 0.1997 0.7603  1 Na 2.38, 2 O 2.51-2.58
O: 0.8120 0.9702 0.0627  1 C 1.24
O: 0.8190 0.4291 0.0768  1 C 1.29
O: 0.8562 0.6708 0.9032  1 C 1.29
O: 0.8724 0.5038 0.7235  1 O 2.32, 1 Na 2.53
O: 0.9040 0.2185 0.1006  1 C 1.24
O: 0.9069 0.2340 0.4127  1 C 1.25
O: 0.9345 0.3969 0.9221  1 C 1.30
O: 0.9702 0.8120 0.5627  1 C 1.24
O: 0.9741 0.6154 0.0750  1 C 1.29
O: 0.9937 0.7938 0.8927  1 C 1.24

***

Na4Cr2PC4O16 after structural relaxation, computed with GGA+U.

Output
VASP energy	-6.942	eV per atom
formation energy	-2.086	eV/atom
MP2020-corrected energy	-7.497	eV per atom
total magnetization	5.000	μB/f.u.

a = 9.9240 Å, b = 9.8794 Å, c = 9.7084 Å
α = 60.87°, β = 60.41°, γ = 58.71°
Closest atoms and distances in Å follow each position.
Positions (direct):
Na: 0.0848 0.6652 0.0848  6 O 2.35-2.50
Na: 0.0851 0.6649 0.6649  6 O 2.34-2.56
Na: 0.3348 0.9152 0.3348  6 O 2.35-2.50
Na: 0.3351 0.9149 0.9149  6 O 2.34-2.56
Na: 0.6649 0.0851 0.0851  6 O 2.34-2.56
Na: 0.6652 0.0848 0.6652  6 O 2.35-2.50
Na: 0.9149 0.3351 0.3351  6 O 2.34-2.56
Na: 0.9152 0.3348 0.9152  6 O 2.35-2.50
Cr: 0.0000 0.5000 0.5000  6 O 2.02-2.04
Cr: 0.5000 0.0000 0.5000  6 O 2.02-2.04
Cr: 0.5000 0.5000 0.0000  6 O 2.02-2.04
Cr: 0.5000 0.5000 0.5000  6 O 2.02-2.04
P: 0.1250 0.1250 0.1250  4 O 1.55
P: 0.8750 0.8750 0.8750  4 O 1.55
C: 0.2802 0.6389 0.2920  3 O 1.29-1.30
C: 0.2889 0.2920 0.6389  3 O 1.29-1.30
C: 0.2920 0.2889 0.2802  3 O 1.29-1.30
C: 0.3611 0.7198 0.7111  3 O 1.29-1.30
C: 0.6389 0.2802 0.2889  3 O 1.29-1.30
C: 0.7080 0.7111 0.7198  3 O 1.29-1.30
C: 0.7111 0.7080 0.3611  3 O 1.29-1.30
C: 0.7198 0.3611 0.7080  3 O 1.29-1.30
O: 0.0549 0.3182 0.0633  1 P 1.55
O: 0.0633 0.0636 0.0549  1 P 1.55
O: 0.0636 0.0633 0.3182  1 P 1.55
O: 0.1407 0.6349 0.4092  1 C 1.29
O: 0.1445 0.3180 0.6445  1 C 1.30
O: 0.1445 0.4059 0.3051  1 C 1.30
O: 0.3051 0.6445 0.1445  1 C 1.30
O: 0.3153 0.4092 0.6349  1 C 1.29
O: 0.3182 0.0549 0.0636  1 P 1.55
O: 0.3180 0.1445 0.3931  1 C 1.30
O: 0.3555 0.6949 0.5941  1 C 1.30
O: 0.3555 0.6069 0.8555  1 C 1.30
O: 0.3651 0.8593 0.6847  1 C 1.29
O: 0.3931 0.6445 0.3180  1 C 1.30
O: 0.4059 0.1445 0.6445  1 C 1.30
O: 0.4092 0.3153 0.1407  1 C 1.29
O: 0.5908 0.6847 0.8593  1 C 1.29
O: 0.5941 0.8555 0.3555  1 C 1.30
O: 0.6069 0.3555 0.6820  1 C 1.30
O: 0.6349 0.1407 0.3153  1 C 1.29
O: 0.6445 0.3931 0.1445  1 C 1.30
O: 0.6445 0.3051 0.4059  1 C 1.30
O: 0.6820 0.8555 0.6069  1 C 1.30
O: 0.6818 0.9451 0.9364  1 P 1.55
O: 0.6847 0.5908 0.3651  1 C 1.29
O: 0.6949 0.3555 0.8555  1 C 1.30
O: 0.8555 0.5941 0.6949  1 C 1.30
O: 0.8555 0.6820 0.3555  1 C 1.30
O: 0.8593 0.3651 0.5908  1 C 1.29
O: 0.9364 0.9367 0.6818  1 P 1.55
O: 0.9367 0.9364 0.9451  1 P 1.55
O: 0.9451 0.6818 0.9367  1 P 1.55

***

NaCrCSO7 after structural relaxation, computed with GGA+U.

Output
VASP energy	-6.765	eV per atom
formation energy	-2.022	eV/atom
MP2020-corrected energy	-7.384	eV per atom
total magnetization	3.002	μB/f.u.

a = 5.2965 Å, b = 6.4343 Å, c = 9.0616 Å
α = 90.00°, β = 92.35°, γ = 90.00°
Closest atoms and distances in Å follow each position.
Positions (direct):
Na: 0.2384 0.0000 0.2789  3 O 2.18-2.40
Na: 0.7616 0.5000 0.7211  3 O 2.18-2.40
Cr: 0.2205 0.2257 0.8402  6 O 1.96-2.11
Cr: 0.7795 0.7257 0.1598  6 O 1.96-2.11
C: 0.2758 0.2428 0.5782  3 O 1.23-1.34
C: 0.7242 0.7428 0.4218  3 O 1.23-1.34
S: 0.2767 0.7304 0.9282  4 O 1.47-1.50
S: 0.7233 0.2304 0.0718  4 O 1.47-1.50
O: 0.0534 0.2402 0.6421  1 C 1.33
O: 0.1388 0.7396 0.0674  1 S 1.48
O: 0.1973 0.5454 0.8394  1 S 1.49
O: 0.2172 0.9109 0.8328  1 S 1.47
O: 0.3068 0.2420 0.4447  1 C 1.23
O: 0.4455 0.2175 0.0356  1 S 1.50
O: 0.4630 0.2439 0.6828  1 C 1.34
O: 0.5370 0.7439 0.3172  1 C 1.34
O: 0.5545 0.7175 0.9644  1 S 1.50
O: 0.6932 0.7420 0.5553  1 C 1.23
O: 0.7828 0.4109 0.1672  1 S 1.47
O: 0.8027 0.0454 0.1606  1 S 1.49
O: 0.8612 0.2396 0.9326  1 S 1.48
O: 0.9466 0.7402 0.3579  1 C 1.33

***

Na6Cr2C4SO16 after structural relaxation, computed with GGA+U.

Output
VASP energy	-6.628	eV per atom
formation energy	-2.060	eV/atom
MP2020-corrected energy	-7.145	eV per atom
total magnetization	8.000	μB/f.u.

a = 9.9670 Å, b = 9.9670 Å, c = 9.9670 Å
α = 60.00°, β = 60.00°, γ = 60.00°
Closest atoms and distances in Å follow each position.
Positions (direct):
Na: 0.0895 0.0895 0.6605  6 O 2.40-2.48
Na: 0.0895 0.6605 0.0895  6 O 2.40-2.48
Na: 0.0895 0.6605 0.6605  6 O 2.40-2.48
Na: 0.3395 0.3395 0.9105  6 O 2.40-2.48
Na: 0.3395 0.9105 0.3395  6 O 2.40-2.48
Na: 0.3395 0.9105 0.9105  6 O 2.40-2.48
Na: 0.6605 0.0895 0.0895  6 O 2.40-2.48
Na: 0.6605 0.0895 0.6605  6 O 2.40-2.48
Na: 0.6605 0.6605 0.0895  6 O 2.40-2.48
Na: 0.9105 0.3395 0.3395  6 O 2.40-2.48
Na: 0.9105 0.3395 0.9105  6 O 2.40-2.48
Na: 0.9105 0.9105 0.3395  6 O 2.40-2.48
Cr: 0.0000 0.5000 0.5000  6 O 2.18
Cr: 0.5000 0.0000 0.5000  6 O 2.18
Cr: 0.5000 0.5000 0.0000  6 O 2.18
Cr: 0.5000 0.5000 0.5000  6 O 2.18
C: 0.2794 0.2794 0.2794  3 O 1.30
C: 0.2794 0.2794 0.6619  3 O 1.30
C: 0.2794 0.6619 0.2794  3 O 1.30
C: 0.3381 0.7206 0.7206  3 O 1.30
C: 0.6619 0.2794 0.2794  3 O 1.30
C: 0.7206 0.3381 0.7206  3 O 1.30
C: 0.7206 0.7206 0.3381  3 O 1.30
C: 0.7206 0.7206 0.7206  3 O 1.30
S: 0.1250 0.1250 0.1250  4 O 1.50
S: 0.8750 0.8750 0.8750  4 O 1.50
O: 0.0636 0.0636 0.0636  1 S 1.50
O: 0.0636 0.0636 0.3092  1 S 1.50
O: 0.0636 0.3092 0.0636  1 S 1.50
O: 0.1383 0.3010 0.6634  1 C 1.30
O: 0.1383 0.3972 0.3010  1 C 1.30
O: 0.1383 0.6634 0.3972  1 C 1.30
O: 0.3010 0.1383 0.3972  1 C 1.30
O: 0.3010 0.3972 0.6634  1 C 1.30
O: 0.3010 0.6634 0.1383  1 C 1.30
O: 0.3092 0.0636 0.0636  1 S 1.50
O: 0.3366 0.6028 0.8617  1 C 1.30
O: 0.3366 0.6990 0.6028  1 C 1.30
O: 0.3366 0.8617 0.6990  1 C 1.30
O: 0.3972 0.1383 0.6634  1 C 1.30
O: 0.3972 0.3010 0.1383  1 C 1.30
O: 0.3972 0.6634 0.3010  1 C 1.30
O: 0.6028 0.3366 0.6990  1 C 1.30
O: 0.6028 0.6990 0.8617  1 C 1.30
O: 0.6028 0.8617 0.3366  1 C 1.30
O: 0.6634 0.1383 0.3010  1 C 1.30
O: 0.6634 0.3010 0.3972  1 C 1.30
O: 0.6634 0.3972 0.1383  1 C 1.30
O: 0.6908 0.9364 0.9364  1 S 1.50
O: 0.6990 0.3366 0.8617  1 C 1.30
O: 0.6990 0.6028 0.3366  1 C 1.30
O: 0.6990 0.8617 0.6028  1 C 1.30
O: 0.8617 0.3366 0.6028  1 C 1.30
O: 0.8617 0.6028 0.6990  1 C 1.30
O: 0.8617 0.6990 0.3366  1 C 1.30
O: 0.9364 0.6908 0.9364  1 S 1.50
O: 0.9364 0.9364 0.6908  1 S 1.50
O: 0.9364 0.9364 0.9364  1 S 1.50

***

Na4Cr2C4SO16 after structural relaxation, computed with GGA+U.

Output
VASP energy	-6.867	eV per atom
formation energy	-2.058	eV/atom
MP2020-corrected energy	-7.422	eV per atom
total magnetization	5.997	μB/f.u.

a = 9.9229 Å, b = 9.8847 Å, c = 9.7148 Å
α = 60.83°, β = 60.43°, γ = 58.74°
Closest atoms and distances in Å follow each position.
Positions (direct):
Na: 0.0838 0.6662 0.0838  6 O 2.34-2.51
Na: 0.0844 0.6656 0.6656  6 O 2.33-2.56
Na: 0.3338 0.9162 0.3338  6 O 2.34-2.51
Na: 0.3344 0.9156 0.9156  6 O 2.33-2.56
Na: 0.6656 0.0844 0.0844  6 O 2.33-2.56
Na: 0.6662 0.0838 0.6662  6 O 2.34-2.51
Na: 0.9156 0.3344 0.3344  6 O 2.33-2.56
Na: 0.9162 0.3338 0.9162  6 O 2.34-2.51
Cr: 0.0000 0.5000 0.5000  6 O 2.02-2.04
Cr: 0.5000 0.0000 0.5000  6 O 2.02-2.04
Cr: 0.5000 0.5000 0.0000  6 O 2.02-2.04
Cr: 0.5000 0.5000 0.5000  6 O 2.02-2.04
C: 0.2804 0.6386 0.2918  3 O 1.29-1.30
C: 0.2892 0.2918 0.6386  3 O 1.29-1.30
C: 0.2918 0.2892 0.2804  3 O 1.29-1.30
C: 0.3614 0.7196 0.7108  3 O 1.29-1.30
C: 0.6386 0.2804 0.2892  3 O 1.29-1.30
C: 0.7082 0.7108 0.7196  3 O 1.29-1.30
C: 0.7108 0.7082 0.3614  3 O 1.29-1.30
C: 0.7196 0.3614 0.7082  3 O 1.29-1.30
S: 0.1250 0.1250 0.1250  4 O 1.50
S: 0.8750 0.8750 0.8750  4 O 1.50
O: 0.0569 0.3116 0.0661  1 S 1.50
O: 0.0654 0.0661 0.3116  1 S 1.50
O: 0.0661 0.0654 0.0569  1 S 1.50
O: 0.1408 0.6354 0.4082  1 C 1.29
O: 0.1442 0.4058 0.3054  1 C 1.30
O: 0.1450 0.3179 0.6440  1 C 1.29
O: 0.3054 0.6445 0.1442  1 C 1.30
O: 0.3116 0.0569 0.0654  1 S 1.50
O: 0.3156 0.4082 0.6354  1 C 1.29
O: 0.3179 0.1450 0.3931  1 C 1.29
O: 0.3555 0.6946 0.5942  1 C 1.30
O: 0.3560 0.6069 0.8550  1 C 1.29
O: 0.3646 0.8592 0.6844  1 C 1.29
O: 0.3931 0.6440 0.3179  1 C 1.29
O: 0.4058 0.1442 0.6445  1 C 1.30
O: 0.4082 0.3156 0.1408  1 C 1.29
O: 0.5918 0.6844 0.8592  1 C 1.29
O: 0.5942 0.8558 0.3555  1 C 1.30
O: 0.6069 0.3560 0.6821  1 C 1.29
O: 0.6354 0.1408 0.3156  1 C 1.29
O: 0.6440 0.3931 0.1450  1 C 1.29
O: 0.6445 0.3054 0.4058  1 C 1.30
O: 0.6821 0.8550 0.6069  1 C 1.29
O: 0.6844 0.5918 0.3646  1 C 1.29
O: 0.6884 0.9431 0.9346  1 S 1.50
O: 0.6946 0.3555 0.8558  1 C 1.30
O: 0.8550 0.6821 0.3560  1 C 1.29
O: 0.8558 0.5942 0.6946  1 C 1.30
O: 0.8592 0.3646 0.5918  1 C 1.29
O: 0.9339 0.9346 0.9431  1 S 1.50
O: 0.9346 0.9339 0.6884  1 S 1.50
O: 0.9431 0.6884 0.9339  1 S 1.50